Ba5Ru2Cl2O9 after structural relaxation. Source: Materials Project, functional PBE-GGA.

Results
ΔE to the lowest computed polymorph in meV per atom: 44.4
Calculated volume in A^3/atom: 18.949
Size of the total moment in Bohr magnetons per cell: 0.000
Energy of formation in eV per atom: -2.40
E_tot in eV per formula unit: -113.3

Cell and atoms, written as CIF:
```
data_Ba5Ru2Cl2O9
_cell_length_a 6.030
_cell_length_b 14.528
_cell_length_c 15.575
_cell_angle_alpha 90.00
_cell_angle_beta 90.00
_cell_angle_gamma 90.00
_symmetry_space_group_name_H-M 'P 1'
_symmetry_Int_Tables_number 1
loop_
_symmetry_equiv_pos_as_xyz
'x,y,z'
loop_
_atom_site_label
_atom_site_type_symbol
_atom_site_fract_x
_atom_site_fract_y
_atom_site_fract_z
Ba1 Ba 0.750 0.730 0.502
Ba2 Ba 0.250 0.672 0.791
Ba3 Ba 0.750 0.020 0.373
Ba4 Ba 0.250 0.520 0.127
Ba5 Ba 0.750 0.442 0.430
Ba6 Ba 0.250 0.270 0.498
Ba7 Ba 0.750 0.854 0.760
Ba8 Ba 0.750 0.646 0.260
Ba9 Ba 0.750 0.172 0.709
Ba10 Ba 0.750 0.058 0.930
Ba11 Ba 0.250 0.980 0.627
Ba12 Ba 0.750 0.480 0.873
Ba13 Ba 0.750 0.328 0.209
Ba14 Ba 0.250 0.942 0.070
Ba15 Ba 0.250 0.230 0.998
Ba16 Ba 0.250 0.828 0.291
Ba17 Ba 0.250 0.354 0.740
Ba18 Ba 0.250 0.558 0.570
Ba19 Ba 0.750 0.770 0.002
Ba20 Ba 0.250 0.146 0.240
Ru1 Ru 0.750 0.438 0.654
Ru2 Ru 0.250 0.938 0.846
Ru3 Ru 0.250 0.375 0.303
Ru4 Ru 0.250 0.125 0.803
Ru5 Ru 0.750 0.875 0.197
Ru6 Ru 0.250 0.562 0.346
Ru7 Ru 0.750 0.625 0.697
Ru8 Ru 0.750 0.062 0.154
Cl1 Cl 0.250 0.445 0.927
Cl2 Cl 0.750 0.945 0.573
Cl3 Cl 0.750 0.555 0.073
Cl4 Cl 0.250 0.686 0.991
Cl5 Cl 0.250 0.814 0.491
Cl6 Cl 0.750 0.186 0.509
Cl7 Cl 0.750 0.314 0.009
Cl8 Cl 0.250 0.055 0.427
O1 O 0.509 0.113 0.091
O2 O 0.022 0.204 0.843
O3 O 0.478 0.296 0.343
O4 O 0.250 0.649 0.254
O5 O 0.250 0.330 0.183
O6 O 0.750 0.944 0.080
O7 O 0.750 0.670 0.817
O8 O 0.478 0.020 0.773
O9 O 0.750 0.149 0.246
O10 O 0.978 0.796 0.157
O11 O 0.250 0.056 0.920
O12 O 0.750 0.351 0.746
O13 O 0.250 0.851 0.754
O14 O 0.522 0.704 0.657
O15 O 0.991 0.113 0.091
O16 O 0.478 0.204 0.843
O17 O 0.522 0.980 0.227
O18 O 0.509 0.387 0.591
O19 O 0.522 0.520 0.727
O20 O 0.009 0.613 0.409
O21 O 0.491 0.613 0.409
O22 O 0.991 0.387 0.591
O23 O 0.022 0.296 0.343
O24 O 0.009 0.887 0.909
O25 O 0.022 0.480 0.273
O26 O 0.978 0.704 0.657
O27 O 0.022 0.020 0.773
O28 O 0.522 0.796 0.157
O29 O 0.978 0.980 0.227
O30 O 0.750 0.556 0.580
O31 O 0.250 0.444 0.420
O32 O 0.491 0.887 0.909
O33 O 0.478 0.480 0.273
O34 O 0.750 0.830 0.317
O35 O 0.978 0.520 0.727
O36 O 0.250 0.170 0.683
```

***

Ba5SiCl6O4 after structural relaxation. Source: Materials Project, functional PBE-GGA.

Results
Calculated volume in A^3/atom: 26.050
Energy of formation in eV per atom: -2.92
E_tot in eV per formula unit: -89.8

Cell and atoms, written as CIF:
```
data_Ba5SiCl6O4
_cell_length_a 8.929
_cell_length_b 8.929
_cell_length_c 11.854
_cell_angle_alpha 82.32
_cell_angle_beta 82.32
_cell_angle_gamma 114.45
_symmetry_space_group_name_H-M 'P 1'
_symmetry_Int_Tables_number 1
loop_
_symmetry_equiv_pos_as_xyz
'x,y,z'
loop_
_atom_site_label
_atom_site_type_symbol
_atom_site_fract_x
_atom_site_fract_y
_atom_site_fract_z
Ba1 Ba 0.684 0.429 0.520
Ba2 Ba 0.798 0.202 0.250
Ba3 Ba 0.766 0.923 0.634
Ba4 Ba 0.077 0.234 0.866
Ba5 Ba 0.316 0.571 0.480
Ba6 Ba 0.202 0.798 0.750
Ba7 Ba 0.923 0.766 0.134
Ba8 Ba 0.234 0.077 0.366
Ba9 Ba 0.429 0.684 0.020
Ba10 Ba 0.571 0.316 0.980
Si1 Si 0.423 0.577 0.750
Si2 Si 0.577 0.423 0.250
Cl1 Cl 0.202 0.143 0.634
Cl2 Cl 0.019 0.720 0.549
Cl3 Cl 0.720 0.019 0.049
Cl4 Cl 0.798 0.857 0.366
Cl5 Cl 0.857 0.798 0.866
Cl6 Cl 0.758 0.242 0.750
Cl7 Cl 0.981 0.280 0.451
Cl8 Cl 0.143 0.202 0.134
Cl9 Cl 0.242 0.758 0.250
Cl10 Cl 0.000 0.500 0.000
Cl11 Cl 0.280 0.981 0.951
Cl12 Cl 0.500 0.000 0.500
O1 O 0.402 0.443 0.868
O2 O 0.236 0.523 0.714
O3 O 0.557 0.598 0.632
O4 O 0.523 0.236 0.214
O5 O 0.477 0.764 0.786
O6 O 0.443 0.402 0.368
O7 O 0.764 0.477 0.286
O8 O 0.598 0.557 0.132
```

***

Ba5Ta2Cl2O9 after structural relaxation. Source: Materials Project, functional PBE-GGA.

Results
Calculated volume in A^3/atom: 22.067
Size of the total moment in Bohr magnetons per cell: 0.005
Energy of formation in eV per atom: -3.24
E_tot in eV per formula unit: -133.7

Cell and atoms, written as CIF:
```
data_Ba5Ta2Cl2O9
_cell_length_a 6.045
_cell_length_b 6.045
_cell_length_c 25.100
_cell_angle_alpha 90.00
_cell_angle_beta 90.00
_cell_angle_gamma 120.00
_symmetry_space_group_name_H-M 'P 1'
_symmetry_Int_Tables_number 1
loop_
_symmetry_equiv_pos_as_xyz
'x,y,z'
loop_
_atom_site_label
_atom_site_type_symbol
_atom_site_fract_x
_atom_site_fract_y
_atom_site_fract_z
Ba1 Ba 0.333 0.667 0.418
Ba2 Ba 0.333 0.667 0.082
Ba3 Ba 0.333 0.667 0.828
Ba4 Ba 0.667 0.333 0.582
Ba5 Ba 0.667 0.333 0.918
Ba6 Ba 0.667 0.333 0.328
Ba7 Ba 0.667 0.333 0.172
Ba8 Ba 0.333 0.667 0.250
Ba9 Ba 0.667 0.333 0.750
Ba10 Ba 0.333 0.667 0.672
Ta1 Ta 0.000 0.000 0.810
Ta2 Ta 0.000 0.000 0.310
Ta3 Ta 0.000 0.000 0.190
Ta4 Ta 0.000 0.000 0.690
Cl1 Cl 0.333 0.667 0.547
Cl2 Cl 0.333 0.667 0.953
Cl3 Cl 0.667 0.333 0.047
Cl4 Cl 0.667 0.333 0.453
O1 O 0.162 0.324 0.155
O2 O 0.704 0.852 0.750
O3 O 0.838 0.676 0.655
O4 O 0.852 0.148 0.250
O5 O 0.162 0.838 0.345
O6 O 0.162 0.838 0.155
O7 O 0.838 0.162 0.655
O8 O 0.324 0.162 0.655
O9 O 0.838 0.162 0.845
O10 O 0.852 0.704 0.250
O11 O 0.296 0.148 0.250
O12 O 0.324 0.162 0.845
O13 O 0.148 0.296 0.750
O14 O 0.838 0.676 0.845
O15 O 0.162 0.324 0.345
O16 O 0.676 0.838 0.155
O17 O 0.148 0.852 0.750
O18 O 0.676 0.838 0.345
```

***

BaZnTeCl2O3 after structural relaxation. Source: Materials Project, functional PBE-GGA.

Results
Calculated volume in A^3/atom: 22.189
Size of the total moment in Bohr magnetons per cell: 0.002
Energy of formation in eV per atom: -1.98
E_tot in eV per formula unit: -38.6

Cell and atoms, written as CIF:
```
data_BaZnTeCl2O3
_cell_length_a 5.722
_cell_length_b 12.521
_cell_length_c 19.820
_cell_angle_alpha 90.00
_cell_angle_beta 90.00
_cell_angle_gamma 90.00
_symmetry_space_group_name_H-M 'P 1'
_symmetry_Int_Tables_number 1
loop_
_symmetry_equiv_pos_as_xyz
'x,y,z'
loop_
_atom_site_label
_atom_site_type_symbol
_atom_site_fract_x
_atom_site_fract_y
_atom_site_fract_z
Ba1 Ba 0.250 0.333 0.670
Ba2 Ba 0.250 0.943 0.290
Ba3 Ba 0.250 0.833 0.830
Ba4 Ba 0.750 0.667 0.330
Ba5 Ba 0.750 0.557 0.790
Ba6 Ba 0.250 0.443 0.210
Ba7 Ba 0.750 0.167 0.170
Ba8 Ba 0.750 0.057 0.710
Zn1 Zn 0.250 0.570 0.927
Zn2 Zn 0.750 0.014 0.906
Zn3 Zn 0.250 0.486 0.406
Zn4 Zn 0.750 0.430 0.073
Zn5 Zn 0.250 0.986 0.094
Zn6 Zn 0.250 0.070 0.573
Zn7 Zn 0.750 0.514 0.594
Zn8 Zn 0.750 0.930 0.427
Te1 Te 0.750 0.860 0.161
Te2 Te 0.750 0.360 0.339
Te3 Te 0.750 0.225 0.549
Te4 Te 0.250 0.140 0.839
Te5 Te 0.250 0.275 0.049
Te6 Te 0.250 0.775 0.451
Te7 Te 0.750 0.725 0.951
Te8 Te 0.250 0.640 0.661
Cl1 Cl 0.250 0.376 0.495
Cl2 Cl 0.750 0.440 0.960
Cl3 Cl 0.250 0.941 0.655
Cl4 Cl 0.250 0.694 0.241
Cl5 Cl 0.250 0.060 0.460
Cl6 Cl 0.750 0.559 0.155
Cl7 Cl 0.750 0.624 0.505
Cl8 Cl 0.250 0.560 0.040
Cl9 Cl 0.250 0.441 0.845
Cl10 Cl 0.750 0.940 0.540
Cl11 Cl 0.750 0.806 0.741
Cl12 Cl 0.750 0.059 0.345
Cl13 Cl 0.250 0.194 0.259
Cl14 Cl 0.250 0.876 0.005
Cl15 Cl 0.750 0.306 0.759
Cl16 Cl 0.750 0.124 0.995
O1 O 0.493 0.830 0.396
O2 O 0.507 0.170 0.604
O3 O 0.507 0.670 0.896
O4 O 0.506 0.464 0.339
O5 O 0.250 0.661 0.753
O6 O 0.750 0.839 0.253
O7 O 0.506 0.964 0.161
O8 O 0.250 0.642 0.407
O9 O 0.750 0.358 0.593
O10 O 0.007 0.830 0.396
O11 O 0.750 0.339 0.247
O12 O 0.993 0.670 0.896
O13 O 0.994 0.464 0.339
O14 O 0.250 0.161 0.747
O15 O 0.750 0.858 0.907
O16 O 0.993 0.170 0.604
O17 O 0.494 0.536 0.661
O18 O 0.006 0.036 0.839
O19 O 0.994 0.964 0.161
O20 O 0.250 0.142 0.093
O21 O 0.493 0.330 0.104
O22 O 0.007 0.330 0.104
O23 O 0.494 0.036 0.839
O24 O 0.006 0.536 0.661
```

***

BaPdCl4 after structural relaxation. Source: Materials Project, functional PBE-GGA.

Results
Calculated volume in A^3/atom: 28.696
Energy of formation in eV per atom: -1.91
E_tot in eV per formula unit: -23.5

Cell and atoms, written as CIF:
```
data_BaPdCl4
_cell_length_a 7.001
_cell_length_b 7.756
_cell_length_c 12.683
_cell_angle_alpha 90.00
_cell_angle_beta 90.00
_cell_angle_gamma 90.00
_symmetry_space_group_name_H-M 'P 1'
_symmetry_Int_Tables_number 1
loop_
_symmetry_equiv_pos_as_xyz
'x,y,z'
loop_
_atom_site_label
_atom_site_type_symbol
_atom_site_fract_x
_atom_site_fract_y
_atom_site_fract_z
Ba1 Ba 0.500 0.750 0.147
Ba2 Ba 0.000 0.250 0.353
Ba3 Ba 0.500 0.250 0.853
Ba4 Ba 0.000 0.750 0.647
Pd1 Pd 0.000 0.500 0.000
Pd2 Pd 0.500 0.500 0.500
Pd3 Pd 0.500 0.000 0.500
Pd4 Pd 0.000 0.000 0.000
Cl1 Cl 0.888 0.471 0.827
Cl2 Cl 0.388 0.529 0.673
Cl3 Cl 0.612 0.971 0.673
Cl4 Cl 0.112 0.029 0.827
Cl5 Cl 0.112 0.529 0.173
Cl6 Cl 0.612 0.471 0.327
Cl7 Cl 0.388 0.029 0.327
Cl8 Cl 0.888 0.971 0.173
Cl9 Cl 0.794 0.904 0.437
Cl10 Cl 0.294 0.096 0.063
Cl11 Cl 0.706 0.404 0.063
Cl12 Cl 0.206 0.596 0.437
Cl13 Cl 0.206 0.096 0.563
Cl14 Cl 0.706 0.904 0.937
Cl15 Cl 0.294 0.596 0.937
Cl16 Cl 0.794 0.404 0.563
```

***

Rb2BaCl4 after structural relaxation. Source: Materials Project, functional PBE-GGA.

Results
Calculated volume in A^3/atom: 32.498
Size of the total moment in Bohr magnetons per cell: 0.000
Energy of formation in eV per atom: -2.53
E_tot in eV per formula unit: -26.5

Cell and atoms, written as CIF:
```
data_Rb2BaCl4
_cell_length_a 8.392
_cell_length_b 8.392
_cell_length_c 8.392
_cell_angle_alpha 109.87
_cell_angle_beta 109.87
_cell_angle_gamma 108.67
_symmetry_space_group_name_H-M 'P 1'
_symmetry_Int_Tables_number 1
loop_
_symmetry_equiv_pos_as_xyz
'x,y,z'
loop_
_atom_site_label
_atom_site_type_symbol
_atom_site_fract_x
_atom_site_fract_y
_atom_site_fract_z
Rb1 Rb 0.375 0.511 0.636
Rb2 Rb 0.875 0.739 0.364
Rb3 Rb 0.489 0.125 0.864
Rb4 Rb 0.261 0.625 0.136
Ba1 Ba 0.750 0.250 0.500
Ba2 Ba 0.000 0.000 0.000
Cl1 Cl 0.973 0.359 0.251
Cl2 Cl 0.108 0.723 0.749
Cl3 Cl 0.642 0.891 0.115
Cl4 Cl 0.777 0.527 0.885
Cl5 Cl 0.109 0.223 0.751
Cl6 Cl 0.473 0.358 0.249
Cl7 Cl 0.641 0.892 0.615
Cl8 Cl 0.277 0.027 0.385
```

***

Ba2ScCl7 after structural relaxation. Source: Materials Project, functional PBE-GGA.

Results
Calculated volume in A^3/atom: 29.258
Size of the total moment in Bohr magnetons per cell: 0.000
Energy of formation in eV per atom: -2.78
E_tot in eV per formula unit: -46.7

Cell and atoms, written as CIF:
```
data_Ba2ScCl7
_cell_length_a 13.674
_cell_length_b 7.012
_cell_length_c 12.261
_cell_angle_alpha 84.57
_cell_angle_beta 90.00
_cell_angle_gamma 90.00
_symmetry_space_group_name_H-M 'P 1'
_symmetry_Int_Tables_number 1
loop_
_symmetry_equiv_pos_as_xyz
'x,y,z'
loop_
_atom_site_label
_atom_site_type_symbol
_atom_site_fract_x
_atom_site_fract_y
_atom_site_fract_z
Ba1 Ba 0.927 0.740 0.869
Ba2 Ba 0.663 0.266 0.015
Ba3 Ba 0.573 0.740 0.369
Ba4 Ba 0.837 0.266 0.515
Ba5 Ba 0.427 0.260 0.631
Ba6 Ba 0.073 0.260 0.131
Ba7 Ba 0.337 0.734 0.985
Ba8 Ba 0.163 0.734 0.485
Sc1 Sc 0.367 0.199 0.205
Sc2 Sc 0.133 0.199 0.705
Sc3 Sc 0.867 0.801 0.295
Sc4 Sc 0.633 0.801 0.795
Cl1 Cl 0.769 0.046 0.761
Cl2 Cl 0.269 0.954 0.739
Cl3 Cl 0.806 0.773 0.488
Cl4 Cl 0.996 0.548 0.344
Cl5 Cl 0.515 0.048 0.858
Cl6 Cl 0.194 0.227 0.512
Cl7 Cl 0.504 0.548 0.844
Cl8 Cl 0.745 0.538 0.762
Cl9 Cl 0.731 0.046 0.261
Cl10 Cl 0.755 0.538 0.262
Cl11 Cl 0.623 0.374 0.518
Cl12 Cl 0.496 0.452 0.156
Cl13 Cl 0.933 0.879 0.111
Cl14 Cl 0.015 0.952 0.642
Cl15 Cl 0.004 0.452 0.656
Cl16 Cl 0.567 0.879 0.611
Cl17 Cl 0.433 0.121 0.389
Cl18 Cl 0.877 0.374 0.018
Cl19 Cl 0.485 0.952 0.142
Cl20 Cl 0.306 0.227 0.012
Cl21 Cl 0.255 0.462 0.238
Cl22 Cl 0.377 0.626 0.482
Cl23 Cl 0.694 0.773 0.988
Cl24 Cl 0.067 0.121 0.889
Cl25 Cl 0.245 0.462 0.738
Cl26 Cl 0.985 0.048 0.358
Cl27 Cl 0.123 0.626 0.982
Cl28 Cl 0.231 0.954 0.239
```

***

Ba2ScCl7 after structural relaxation. Source: Materials Project, functional PBE-GGA.

Results
Calculated volume in A^3/atom: 29.393
Size of the total moment in Bohr magnetons per cell: 0.007
Energy of formation in eV per atom: -2.79
E_tot in eV per formula unit: -46.7

Cell and atoms, written as CIF:
```
data_Ba2ScCl7
_cell_length_a 13.607
_cell_length_b 7.028
_cell_length_c 12.369
_cell_angle_alpha 83.73
_cell_angle_beta 90.00
_cell_angle_gamma 90.00
_symmetry_space_group_name_H-M 'P 1'
_symmetry_Int_Tables_number 1
loop_
_symmetry_equiv_pos_as_xyz
'x,y,z'
loop_
_atom_site_label
_atom_site_type_symbol
_atom_site_fract_x
_atom_site_fract_y
_atom_site_fract_z
Ba1 Ba 0.547 0.238 0.256
Ba2 Ba 0.637 0.738 0.622
Ba3 Ba 0.868 0.706 0.233
Ba4 Ba 0.368 0.294 0.767
Ba5 Ba 0.785 0.251 0.877
Ba6 Ba 0.285 0.749 0.123
Ba7 Ba 0.047 0.762 0.744
Ba8 Ba 0.137 0.262 0.378
Sc1 Sc 0.344 0.812 0.547
Sc2 Sc 0.844 0.188 0.453
Sc3 Sc 0.077 0.206 0.956
Sc4 Sc 0.577 0.794 0.044
Cl1 Cl 0.776 0.118 0.637
Cl2 Cl 0.203 0.973 0.893
Cl3 Cl 0.949 0.466 0.477
Cl4 Cl 0.017 0.236 0.763
Cl5 Cl 0.835 0.623 0.732
Cl6 Cl 0.485 0.039 0.499
Cl7 Cl 0.587 0.371 0.770
Cl8 Cl 0.959 0.452 0.994
Cl9 Cl 0.645 0.875 0.862
Cl10 Cl 0.234 0.074 0.604
Cl11 Cl 0.209 0.572 0.602
Cl12 Cl 0.459 0.548 0.006
Cl13 Cl 0.701 0.528 0.091
Cl14 Cl 0.201 0.472 0.909
Cl15 Cl 0.449 0.534 0.523
Cl16 Cl 0.734 0.926 0.396
Cl17 Cl 0.335 0.377 0.268
Cl18 Cl 0.985 0.961 0.501
Cl19 Cl 0.703 0.027 0.107
Cl20 Cl 0.276 0.882 0.363
Cl21 Cl 0.409 0.790 0.737
Cl22 Cl 0.145 0.125 0.138
Cl23 Cl 0.709 0.428 0.398
Cl24 Cl 0.948 0.946 0.984
Cl25 Cl 0.448 0.054 0.016
Cl26 Cl 0.909 0.210 0.263
Cl27 Cl 0.087 0.629 0.230
Cl28 Cl 0.517 0.764 0.237
```